Entry 1:
LiTiVO4: optimized geometry, PBE with a Hubbard U.

The structure in POSCAR format:
```
LiTiVO4
1.0
1.127 3.594 -6.924
7.662 1.571 1.423
4.746 -6.444 -1.391
V O Li Ti
6 24 6 6
direct
0.873 0.665 0.956
0.111 0.326 0.032
0.629 0.002 0.877
0.611 0.326 0.531
0.373 0.665 0.456
0.129 0.002 0.377
0.708 0.500 0.100
0.948 0.176 0.178
0.799 0.159 0.742
0.949 0.840 0.501
0.710 0.169 0.403
0.448 0.176 0.678
0.296 0.487 0.928
0.556 0.821 0.335
0.056 0.821 0.835
0.951 0.511 0.812
0.210 0.840 0.239
0.796 0.487 0.428
0.210 0.169 0.903
0.550 0.493 0.667
0.449 0.840 0.001
0.710 0.840 0.739
0.050 0.493 0.168
0.045 0.163 0.517
0.289 0.825 0.591
0.545 0.163 0.017
0.208 0.501 0.600
0.789 0.825 0.091
0.299 0.159 0.242
0.450 0.511 0.312
0.001 0.331 0.670
0.242 0.659 0.096
0.255 0.008 0.739
0.501 0.331 0.169
0.742 0.660 0.595
0.755 0.008 0.239
0.626 0.671 0.205
0.898 0.345 0.299
0.126 0.672 0.704
0.859 0.004 0.620
0.398 0.345 0.799
0.359 0.004 0.120
```

Energy relative to the lowest polymorph listed for this composition = 0.055 eV per atom
Energy of formation from the pure elements = -20.18 eV/f.u.
Uncorrected energy = -7.7728 eV/atom

=====

Entry 2:
Li2TiV3O8: optimized geometry, PBE with a Hubbard U.

The structure in POSCAR format:
```
Li2TiV3O8
1.0
-1.416 -3.173 -4.867
1.712 -9.957 2.404
-5.730 -1.231 -1.196
O Ti Li V
16 2 4 6
direct
0.737 0.643 0.375
0.241 0.635 0.917
0.744 0.865 0.150
0.269 0.357 0.620
0.272 0.139 0.374
0.766 0.861 0.588
0.263 0.857 0.125
0.271 0.131 0.837
0.294 0.869 0.597
0.258 0.637 0.355
0.718 0.365 0.124
0.282 0.363 0.105
0.732 0.143 0.881
0.733 0.367 0.656
0.715 0.135 0.391
0.710 0.634 0.900
0.493 0.254 0.755
0.500 0.747 0.251
0.881 0.936 0.809
0.127 0.064 0.183
0.872 0.436 0.316
0.121 0.564 0.692
0.496 0.500 0.004
0.500 0.247 0.250
0.500 0.751 0.751
0.998 0.752 0.253
0.999 0.250 0.749
0.509 0.000 0.492
```

Space-group type = No. 1
Energy relative to the lowest polymorph listed for this composition = 0.002 eV per atom
Energy of formation from the pure elements = -38.11 eV/f.u.
Uncorrected energy = -7.5760 eV/atom

=====

Entry 3:
LiTiVO5: optimized geometry, PBE with a Hubbard U.

The structure in POSCAR format:
```
LiTiVO5
1.0
-0.178 1.286 -6.537
-2.026 -6.273 -0.981
-4.380 1.354 0.385
O Ti Li V
10 2 2 2
direct
0.758 0.525 0.728
0.258 0.025 0.272
0.025 0.258 0.728
0.250 0.750 0.735
0.242 0.475 0.272
0.525 0.758 0.272
0.475 0.242 0.728
0.742 0.975 0.728
0.975 0.742 0.272
0.750 0.250 0.265
0.250 0.250 0.500
0.750 0.750 0.500
0.500 0.000 0.000
0.000 0.500 0.000
0.250 0.750 0.378
0.750 0.250 0.622
```

Space-group type = No. 67
Energy of formation from the pure elements = -21.99 eV/f.u.
Uncorrected energy = -7.5599 eV/atom

=====

Entry 4:
Li2Ti3VO8: optimized geometry, PBE with a Hubbard U.

The structure in POSCAR format:
```
Li2Ti3VO8
1.0
-4.179 1.352 4.059
2.481 5.488 0.776
-4.885 3.287 -6.127
O Li V Ti
16 4 2 6
direct
0.004 0.033 0.751
0.001 0.473 0.736
0.732 0.230 0.986
0.268 0.770 0.014
0.501 0.973 0.236
0.267 0.226 0.980
0.499 0.027 0.764
0.504 0.533 0.251
0.233 0.274 0.520
0.733 0.774 0.020
0.996 0.967 0.249
0.999 0.527 0.264
0.768 0.270 0.514
0.767 0.726 0.480
0.232 0.730 0.486
0.496 0.467 0.749
0.750 0.250 0.250
0.000 0.000 0.500
0.250 0.750 0.750
0.500 0.500 0.000
0.000 0.000 0.000
0.500 0.500 0.500
0.250 0.250 0.750
0.000 0.500 0.500
0.250 0.750 0.250
0.750 0.250 0.750
0.750 0.750 0.250
0.500 0.000 0.000
```

Energy relative to the lowest polymorph listed for this composition = 0.090 eV per atom
Energy of formation from the pure elements = -42.29 eV/f.u.
Uncorrected energy = -7.9478 eV/atom

=====

Entry 5:
Li4Ti5V3O16: optimized geometry, PBE with a Hubbard U.

The structure in POSCAR format:
```
Li4Ti5V3O16
1.0
2.976 5.164 0.000
-2.976 5.164 0.000
0.000 0.014 9.640
Li Ti O V
4 5 16 3
direct
0.999 0.999 0.994
0.005 0.005 0.494
0.333 0.333 0.397
0.664 0.664 0.896
0.670 0.670 0.500
0.837 0.348 0.220
0.348 0.837 0.220
0.344 0.344 0.997
0.175 0.175 0.727
0.506 0.960 0.345
0.343 0.831 0.594
0.477 0.477 0.843
0.960 0.506 0.345
0.002 0.002 0.806
0.660 0.176 0.093
0.473 0.035 0.840
0.834 0.834 0.592
0.655 0.655 0.101
0.035 0.473 0.840
0.327 0.327 0.603
0.831 0.343 0.594
0.004 0.004 0.305
0.168 0.168 0.099
0.519 0.519 0.335
0.176 0.660 0.093
0.172 0.658 0.711
0.826 0.826 0.210
0.658 0.172 0.711
```

Space-group type = No. 8
Energy of formation from the pure elements = -84.04 eV/f.u.
Uncorrected energy = -7.9099 eV/atom

=====

Entry 6:
LiTi2V3O10: optimized geometry, PBE with a Hubbard U.

The structure in POSCAR format:
```
LiTi2V3O10
1.0
0.793 -1.006 4.943
3.447 14.606 0.027
-4.816 1.807 0.147
O V Li Ti
20 6 2 4
direct
0.060 0.263 0.816
0.653 0.431 0.605
0.560 0.763 0.316
0.132 0.393 0.401
0.037 0.845 0.634
0.632 0.893 0.901
0.759 0.968 0.361
0.153 0.931 0.104
0.480 0.240 0.670
0.729 0.532 0.140
0.843 0.064 0.899
0.259 0.468 0.861
0.355 0.109 0.095
0.343 0.564 0.399
0.537 0.345 0.134
0.855 0.609 0.595
0.980 0.740 0.170
0.968 0.161 0.380
0.468 0.661 0.880
0.229 0.032 0.640
0.493 0.002 0.005
0.416 0.445 0.248
0.545 0.565 0.767
0.993 0.501 0.505
0.916 0.945 0.747
0.045 0.066 0.267
0.270 0.773 0.927
0.771 0.273 0.427
0.881 0.843 0.284
0.683 0.662 0.248
0.381 0.343 0.784
0.183 0.162 0.748
```

Energy of formation from the pure elements = -44.94 eV/f.u.
Uncorrected energy = -7.9624 eV/atom

=====

Entry 7:
Li4TiV8O18: optimized geometry, PBE with a Hubbard U.

The structure in POSCAR format:
```
Li4TiV8O18
1.0
2.968 0.000 0.000
0.020 9.110 0.000
0.162 0.318 25.102
Li O V Ti
8 36 16 2
direct
0.004 0.326 0.301
0.997 0.312 0.511
0.000 0.803 0.191
0.016 0.810 0.985
0.000 0.698 0.481
0.001 0.184 0.009
0.999 0.163 0.792
0.996 0.702 0.688
0.000 0.505 0.077
0.503 0.123 0.338
0.003 0.609 0.257
0.498 0.152 0.498
0.501 0.624 0.163
0.545 0.934 0.942
0.006 0.486 0.927
0.499 0.430 0.560
0.997 0.689 0.585
0.996 0.993 0.577
0.017 0.104 0.244
0.992 0.379 0.748
0.017 0.802 0.856
0.982 0.195 0.145
0.000 0.810 0.080
0.501 0.463 0.340
0.011 0.201 0.921
0.998 0.690 0.357
0.001 0.011 0.425
0.506 0.858 0.289
0.501 0.957 0.157
0.501 0.388 0.844
0.497 0.634 0.784
0.492 0.044 0.841
0.494 0.569 0.442
0.502 0.645 0.003
0.997 0.303 0.648
0.493 0.874 0.663
0.504 0.349 0.996
0.495 0.073 0.058
0.999 0.312 0.418
0.492 0.138 0.716
0.492 0.534 0.662
0.500 0.855 0.503
0.982 0.896 0.756
0.504 0.362 0.217
0.501 0.161 0.415
0.992 0.007 0.688
0.497 0.841 0.584
0.999 0.004 0.501
0.508 0.844 0.805
0.999 0.513 0.810
0.996 0.991 0.896
0.002 0.491 0.191
0.509 0.342 0.916
0.501 0.655 0.305
0.997 0.512 0.397
0.500 0.662 0.085
0.003 0.499 0.004
0.486 0.153 0.195
0.005 0.995 0.312
0.493 0.345 0.698
0.983 0.012 0.102
0.998 0.485 0.603
```

Space-group type = No. 1
Energy of formation from the pure elements = -78.32 eV/f.u.
Uncorrected energy = -7.4072 eV/atom

=====

Entry 8:
Li5Ti2V3O10: optimized geometry, PBE with a Hubbard U.

The structure in POSCAR format:
```
Li5Ti2V3O10
1.0
0.699 -0.681 -5.072
-4.176 -2.983 0.734
-7.567 11.714 -3.716
Li O V Ti
10 20 6 4
direct
0.411 0.506 0.109
0.196 0.516 0.295
0.799 0.479 0.702
0.245 0.247 0.750
0.301 0.975 0.201
0.906 0.001 0.609
0.694 0.019 0.796
0.089 0.993 0.388
0.584 0.489 0.888
0.749 0.749 0.246
0.840 0.880 0.921
0.642 0.888 0.123
0.435 0.898 0.326
0.550 0.360 0.229
0.046 0.861 0.727
0.445 0.635 0.768
0.665 0.623 0.575
0.877 0.603 0.379
0.066 0.594 0.169
0.560 0.097 0.671
0.218 0.854 0.531
0.352 0.107 0.874
0.777 0.141 0.466
0.270 0.627 0.964
0.330 0.371 0.422
0.929 0.401 0.828
0.118 0.392 0.618
0.155 0.116 0.076
0.726 0.367 0.033
0.949 0.135 0.270
0.440 0.242 0.550
0.948 0.732 0.048
0.047 0.263 0.949
0.556 0.753 0.446
0.997 0.497 0.499
0.497 0.997 0.999
0.864 0.246 0.155
0.368 0.754 0.651
0.627 0.241 0.345
0.131 0.749 0.842
```

Space-group type = No. 2
Energy relative to the lowest polymorph listed for this composition = 0.004 eV per atom
Energy of formation from the pure elements = -53.99 eV/f.u.
Uncorrected energy = -7.2044 eV/atom

=====

Entry 9:
LiTi2V3O12: optimized geometry, PBE with a Hubbard U.

The structure in POSCAR format:
```
LiTi2V3O12
1.0
8.908 0.000 0.000
-0.007 9.196 0.000
-0.118 -0.036 12.535
O Li V Ti
48 4 12 8
direct
0.075 0.663 0.607
0.818 0.839 0.567
0.227 0.474 0.767
0.185 0.165 0.422
0.357 0.929 0.515
0.079 0.878 0.444
0.145 0.986 0.242
0.425 0.079 0.324
0.933 0.123 0.564
0.424 0.164 0.892
0.868 0.002 0.748
0.126 0.191 0.834
0.855 0.564 0.019
0.571 0.929 0.680
0.627 0.308 0.347
0.641 0.501 0.749
0.680 0.341 0.933
0.393 0.868 0.915
0.927 0.426 0.823
0.925 0.108 0.107
0.077 0.898 0.897
0.076 0.578 0.188
0.142 0.424 0.987
0.174 0.287 0.187
0.664 0.211 0.671
0.314 0.665 0.077
0.423 0.378 0.060
0.423 0.402 0.599
0.224 0.065 0.036
0.257 0.556 0.454
0.358 0.486 0.257
0.575 0.624 0.945
0.576 0.837 0.105
0.933 0.343 0.392
0.903 0.625 0.414
0.259 0.975 0.728
0.606 0.130 0.083
0.730 0.026 0.265
0.768 0.530 0.236
0.728 0.442 0.537
0.775 0.945 0.962
0.572 0.608 0.401
0.369 0.693 0.655
0.653 0.064 0.482
0.111 0.365 0.583
0.835 0.711 0.828
0.875 0.808 0.153
0.323 0.784 0.316
0.184 0.781 0.185
0.061 0.089 0.701
0.065 0.511 0.344
0.327 0.276 0.311
0.611 0.388 0.639
0.535 0.251 0.990
0.888 0.619 0.147
0.107 0.378 0.853
0.387 0.881 0.647
0.384 0.613 0.359
0.113 0.115 0.143
0.033 0.249 0.489
0.613 0.117 0.353
0.468 0.747 0.011
0.890 0.887 0.860
0.966 0.749 0.510
0.252 0.467 0.112
0.751 0.532 0.877
0.740 0.027 0.623
0.248 0.968 0.384
0.263 0.023 0.887
0.749 0.977 0.116
0.246 0.524 0.621
0.740 0.479 0.385
```

Space-group type = No. 1
Energy relative to the lowest polymorph listed for this composition = 0.010 eV per atom
Energy of formation from the pure elements = -49.26 eV/f.u.
Uncorrected energy = -7.7915 eV/atom

=====

Entry 10:
Li2TiV3O8: optimized geometry, PBE with a Hubbard U.

The structure in POSCAR format:
```
Li2TiV3O8
1.0
1.725 -5.677 -0.024
-5.246 -1.527 2.546
-3.567 -1.079 -7.734
Ti V O Li
2 6 16 4
direct
0.499 0.499 0.500
0.000 0.997 0.000
0.251 0.250 0.751
0.751 0.249 0.749
0.000 0.502 0.499
0.501 0.003 0.000
0.751 0.749 0.251
0.251 0.750 0.250
0.244 0.713 0.492
0.249 0.217 0.991
0.002 0.986 0.230
0.744 0.213 0.992
0.749 0.717 0.490
0.498 0.514 0.271
0.001 0.515 0.268
0.756 0.288 0.506
0.500 0.984 0.231
0.997 0.013 0.771
0.254 0.788 0.007
0.504 0.485 0.729
0.749 0.785 0.012
0.001 0.484 0.730
0.499 0.015 0.768
0.250 0.284 0.511
0.749 0.749 0.750
0.750 0.248 0.251
0.250 0.250 0.249
0.251 0.751 0.749
```

Space-group type = No. 1
Energy relative to the lowest polymorph listed for this composition = 0.063 eV per atom
Energy of formation from the pure elements = -37.27 eV/f.u.
Uncorrected energy = -7.5158 eV/atom